1.
This record from Materials Project describes a geometry-optimized K2TiSi3O9 structure. The functional is GGA-PBE.

Cell lengths 6.870, 6.870, 10.079 Å; angles 90.00, 90.00, 120.00 degrees
Atoms (fractional coordinates):
K (0.333, 0.667, 0.057)
K (0.333, 0.667, 0.443)
K (0.667, 0.333, 0.557)
K (0.667, 0.333, 0.943)
Ti (0.000, 0.000, 0.000)
Ti (0.000, 0.000, 0.500)
Si (0.129, 0.377, 0.750)
Si (0.248, 0.871, 0.750)
Si (0.377, 0.248, 0.250)
Si (0.623, 0.752, 0.750)
Si (0.752, 0.129, 0.250)
Si (0.871, 0.623, 0.250)
O (0.022, 0.245, 0.613)
O (0.022, 0.245, 0.887)
O (0.081, 0.593, 0.750)
O (0.223, 0.978, 0.613)
O (0.223, 0.978, 0.887)
O (0.245, 0.223, 0.113)
O (0.245, 0.223, 0.387)
O (0.407, 0.488, 0.750)
O (0.488, 0.081, 0.250)
O (0.512, 0.919, 0.750)
O (0.593, 0.512, 0.250)
O (0.755, 0.777, 0.613)
O (0.755, 0.777, 0.887)
O (0.777, 0.022, 0.113)
O (0.777, 0.022, 0.387)
O (0.919, 0.407, 0.250)
O (0.978, 0.755, 0.113)
O (0.978, 0.755, 0.387)

Calculated values
* energy with MP2020 corrections: -118.01 eV per formula unit
* energy of formation: -3139.0 meV/atom
* calculated volume: 13.7 Å³ per atom
* energy above the lowest structure with this stoichiometry: 6 meV/atom
* total moment: 0.00 μB/f.u.



2.
This record from Materials Project describes a geometry-optimized K2TiSi3O9 structure. The functional is GGA-PBE.

Cell lengths 7.716, 7.716, 7.716 Å; angles 82.44, 82.44, 82.44 degrees
Atoms (fractional coordinates):
K (0.000, 0.000, 0.000)
K (0.273, 0.498, 0.732)
K (0.498, 0.732, 0.273)
K (0.732, 0.273, 0.498)
Ti (0.244, 0.244, 0.244)
Ti (0.726, 0.726, 0.726)
Si (0.013, 0.602, 0.394)
Si (0.053, 0.940, 0.519)
Si (0.394, 0.013, 0.602)
Si (0.519, 0.053, 0.940)
Si (0.602, 0.394, 0.013)
Si (0.940, 0.519, 0.053)
O (0.060, 0.091, 0.351)
O (0.091, 0.351, 0.060)
O (0.132, 0.747, 0.446)
O (0.135, 0.414, 0.408)
O (0.187, 0.971, 0.661)
O (0.351, 0.060, 0.091)
O (0.408, 0.135, 0.414)
O (0.414, 0.408, 0.135)
O (0.446, 0.132, 0.747)
O (0.521, 0.827, 0.603)
O (0.603, 0.521, 0.827)
O (0.625, 0.858, 0.930)
O (0.661, 0.187, 0.971)
O (0.747, 0.446, 0.132)
O (0.827, 0.603, 0.521)
O (0.858, 0.930, 0.625)
O (0.930, 0.625, 0.858)
O (0.971, 0.661, 0.187)

Calculated values
* energy with MP2020 corrections: -118.10 eV per formula unit
* energy of formation: -3144.8 meV/atom
* calculated volume: 14.9 Å³ per atom
* energy above the lowest structure with this stoichiometry: 0 meV/atom
* total moment: 0.00 μB/f.u.



3.
This record from Materials Project describes a geometry-optimized K2TiSi6O15 structure. The functional is GGA-PBE.

Cell lengths 7.371, 7.371, 15.374 Å; angles 104.10, 104.10, 60.16 degrees
Atoms (fractional coordinates):
K (0.074, 0.926, 0.500)
K (0.364, 0.707, 0.818)
K (0.707, 0.364, 0.318)
K (0.926, 0.074, 0.000)
Ti (0.037, 0.544, 0.892)
Ti (0.544, 0.037, 0.392)
Si (0.183, 0.272, 0.226)
Si (0.208, 0.335, 0.538)
Si (0.272, 0.183, 0.726)
Si (0.273, 0.843, 0.237)
Si (0.335, 0.208, 0.038)
Si (0.434, 0.554, 0.048)
Si (0.554, 0.434, 0.548)
Si (0.702, 0.749, 0.051)
Si (0.743, 0.919, 0.755)
Si (0.749, 0.702, 0.551)
Si (0.843, 0.273, 0.737)
Si (0.919, 0.743, 0.255)
O (0.091, 0.106, 0.720)
O (0.106, 0.091, 0.220)
O (0.147, 0.737, 0.261)
O (0.169, 0.286, 0.948)
O (0.205, 0.274, 0.123)
O (0.221, 0.398, 0.795)
O (0.257, 0.628, 0.962)
O (0.274, 0.205, 0.623)
O (0.286, 0.169, 0.448)
O (0.311, 0.500, 0.563)
O (0.358, 0.715, 0.141)
O (0.398, 0.221, 0.295)
O (0.467, 0.824, 0.316)
O (0.473, 0.949, 0.020)
O (0.496, 0.977, 0.757)
O (0.500, 0.311, 0.063)
O (0.544, 0.656, 0.537)
O (0.628, 0.257, 0.462)
O (0.656, 0.544, 0.037)
O (0.705, 0.870, 0.490)
O (0.715, 0.358, 0.641)
O (0.737, 0.147, 0.761)
O (0.774, 0.814, 0.158)
O (0.809, 0.908, 0.339)
O (0.814, 0.774, 0.658)
O (0.824, 0.467, 0.816)
O (0.870, 0.705, 0.990)
O (0.908, 0.809, 0.839)
O (0.949, 0.473, 0.520)
O (0.977, 0.496, 0.257)

Calculated values
* energy with MP2020 corrections: -193.47 eV per formula unit
* energy of formation: -3190.7 meV/atom
* calculated volume: 14.5 Å³ per atom
* energy above the lowest structure with this stoichiometry: 0 meV/atom



4.
This record from Materials Project describes a geometry-optimized K2TiSi6O15 structure. The functional is GGA-PBE.

Cell lengths 7.030, 7.341, 7.608 Å; angles 99.12, 105.95, 112.67 degrees
Atoms (fractional coordinates):
K (0.214, 0.286, 0.179)
K (0.786, 0.714, 0.821)
Ti (0.500, 0.000, 0.000)
Si (0.183, 0.502, 0.688)
Si (0.200, 0.814, 0.258)
Si (0.353, 0.168, 0.631)
Si (0.647, 0.832, 0.369)
Si (0.800, 0.186, 0.742)
Si (0.817, 0.498, 0.312)
O (0.000, 0.500, 0.500)
O (0.046, 0.387, 0.817)
O (0.202, 0.990, 0.422)
O (0.240, 0.902, 0.083)
O (0.293, 0.360, 0.610)
O (0.329, 0.088, 0.811)
O (0.378, 0.727, 0.814)
O (0.384, 0.736, 0.352)
O (0.616, 0.264, 0.648)
O (0.622, 0.273, 0.186)
O (0.671, 0.912, 0.189)
O (0.707, 0.640, 0.390)
O (0.760, 0.098, 0.917)
O (0.798, 0.010, 0.578)
O (0.954, 0.613, 0.183)

Calculated values
* energy with MP2020 corrections: -193.42 eV per formula unit
* energy of formation: -3188.7 meV/atom
* calculated volume: 13.9 Å³ per atom
* energy above the lowest structure with this stoichiometry: 2 meV/atom
* total moment: 0.00 μB/f.u.



5.
This record from Materials Project describes a geometry-optimized K3TmSi2O7 structure. The functional is GGA-PBE.

Cell lengths 9.879, 9.879, 14.400 Å; angles 90.00, 90.00, 120.00 degrees
Atoms (fractional coordinates):
K (0.000, 0.000, 0.000)
K (0.000, 0.000, 0.500)
K (0.000, 0.332, 0.092)
K (0.000, 0.332, 0.408)
K (0.000, 0.668, 0.592)
K (0.000, 0.668, 0.908)
K (0.332, 0.000, 0.092)
K (0.332, 0.000, 0.408)
K (0.332, 0.332, 0.592)
K (0.332, 0.332, 0.908)
K (0.333, 0.667, 0.250)
K (0.333, 0.667, 0.750)
K (0.667, 0.333, 0.250)
K (0.667, 0.333, 0.750)
K (0.668, 0.000, 0.592)
K (0.668, 0.000, 0.908)
K (0.668, 0.668, 0.092)
K (0.668, 0.668, 0.408)
Tm (0.000, 0.000, 0.250)
Tm (0.000, 0.000, 0.750)
Tm (0.333, 0.667, 0.000)
Tm (0.333, 0.667, 0.500)
Tm (0.667, 0.333, 0.000)
Tm (0.667, 0.333, 0.500)
Si (0.000, 0.342, 0.642)
Si (0.000, 0.342, 0.858)
Si (0.000, 0.658, 0.142)
Si (0.000, 0.658, 0.358)
Si (0.342, 0.000, 0.642)
Si (0.342, 0.000, 0.858)
Si (0.342, 0.342, 0.142)
Si (0.342, 0.342, 0.358)
Si (0.658, 0.000, 0.142)
Si (0.658, 0.000, 0.358)
Si (0.658, 0.658, 0.642)
Si (0.658, 0.658, 0.858)
O (0.000, 0.177, 0.649)
O (0.000, 0.177, 0.851)
O (0.000, 0.410, 0.750)
O (0.000, 0.590, 0.250)
O (0.000, 0.823, 0.149)
O (0.000, 0.823, 0.351)
O (0.157, 0.479, 0.591)
O (0.157, 0.479, 0.909)
O (0.157, 0.678, 0.091)
O (0.157, 0.678, 0.409)
O (0.177, 0.000, 0.649)
O (0.177, 0.000, 0.851)
O (0.177, 0.177, 0.149)
O (0.177, 0.177, 0.351)
O (0.322, 0.479, 0.091)
O (0.322, 0.479, 0.409)
O (0.322, 0.843, 0.591)
O (0.322, 0.843, 0.909)
O (0.410, 0.000, 0.750)
O (0.410, 0.410, 0.250)
O (0.479, 0.157, 0.591)
O (0.479, 0.157, 0.909)
O (0.479, 0.322, 0.091)
O (0.479, 0.322, 0.409)
O (0.521, 0.678, 0.591)
O (0.521, 0.678, 0.909)
O (0.521, 0.843, 0.091)
O (0.521, 0.843, 0.409)
O (0.590, 0.000, 0.250)
O (0.590, 0.590, 0.750)
O (0.678, 0.157, 0.091)
O (0.678, 0.157, 0.409)
O (0.678, 0.521, 0.591)
O (0.678, 0.521, 0.909)
O (0.823, 0.000, 0.149)
O (0.823, 0.000, 0.351)
O (0.823, 0.823, 0.649)
O (0.823, 0.823, 0.851)
O (0.843, 0.322, 0.591)
O (0.843, 0.322, 0.909)
O (0.843, 0.521, 0.091)
O (0.843, 0.521, 0.409)

Calculated values
* energy with MP2020 corrections: -93.55 eV per formula unit
* energy of formation: -3096.8 meV/atom
* calculated volume: 15.6 Å³ per atom
* total moment: 0.00 μB/f.u.



6.
This record from Materials Project describes a geometry-optimized K2USi6O15 structure. The functional is GGA-PBE.

Cell lengths 12.811, 12.811, 17.328 Å; angles 96.82, 96.82, 32.53 degrees
Atoms (fractional coordinates):
K (0.052, 0.154, 0.259)
K (0.134, 0.181, 0.495)
K (0.154, 0.052, 0.759)
K (0.181, 0.134, 0.995)
K (0.819, 0.866, 0.005)
K (0.846, 0.948, 0.241)
K (0.866, 0.819, 0.505)
K (0.948, 0.846, 0.741)
U (0.347, 0.411, 0.127)
U (0.411, 0.347, 0.627)
U (0.589, 0.653, 0.373)
U (0.653, 0.589, 0.873)
Si (0.001, 0.528, 0.645)
Si (0.103, 0.392, 0.180)
Si (0.156, 0.834, 0.109)
Si (0.166, 0.844, 0.391)
Si (0.248, 0.742, 0.572)
Si (0.258, 0.752, 0.928)
Si (0.278, 0.362, 0.920)
Si (0.362, 0.278, 0.420)
Si (0.383, 0.459, 0.338)
Si (0.392, 0.103, 0.680)
Si (0.459, 0.383, 0.838)
Si (0.472, 0.999, 0.855)
Si (0.528, 0.001, 0.145)
Si (0.541, 0.617, 0.162)
Si (0.608, 0.897, 0.320)
Si (0.617, 0.541, 0.662)
Si (0.638, 0.722, 0.580)
Si (0.722, 0.638, 0.080)
Si (0.742, 0.248, 0.072)
Si (0.752, 0.258, 0.428)
Si (0.834, 0.156, 0.609)
Si (0.844, 0.166, 0.891)
Si (0.897, 0.608, 0.820)
Si (0.999, 0.472, 0.355)
O (0.054, 0.929, 0.875)
O (0.071, 0.946, 0.625)
O (0.077, 0.524, 0.865)
O (0.093, 0.560, 0.626)
O (0.102, 0.371, 0.271)
O (0.112, 0.507, 0.168)
O (0.149, 0.722, 0.133)
O (0.166, 0.295, 0.643)
O (0.166, 0.369, 0.423)
O (0.203, 0.794, 0.018)
O (0.206, 0.797, 0.482)
O (0.214, 0.692, 0.337)
O (0.228, 0.457, 0.006)
O (0.265, 0.604, 0.581)
O (0.278, 0.851, 0.367)
O (0.286, 0.443, 0.378)
O (0.295, 0.166, 0.143)
O (0.308, 0.786, 0.163)
O (0.355, 0.559, 0.897)
O (0.362, 0.455, 0.751)
O (0.369, 0.166, 0.923)
O (0.371, 0.102, 0.771)
O (0.396, 0.735, 0.919)
O (0.440, 0.907, 0.874)
O (0.441, 0.645, 0.603)
O (0.443, 0.286, 0.878)
O (0.455, 0.362, 0.251)
O (0.457, 0.228, 0.506)
O (0.476, 0.923, 0.635)
O (0.493, 0.888, 0.332)
O (0.507, 0.112, 0.668)
O (0.524, 0.077, 0.365)
O (0.543, 0.772, 0.494)
O (0.545, 0.638, 0.749)
O (0.557, 0.714, 0.122)
O (0.559, 0.355, 0.397)
O (0.560, 0.093, 0.126)
O (0.604, 0.265, 0.081)
O (0.629, 0.898, 0.229)
O (0.631, 0.834, 0.077)
O (0.638, 0.545, 0.249)
O (0.645, 0.441, 0.103)
O (0.692, 0.214, 0.837)
O (0.705, 0.834, 0.857)
O (0.714, 0.557, 0.622)
O (0.722, 0.149, 0.633)
O (0.735, 0.396, 0.419)
O (0.772, 0.543, 0.994)
O (0.786, 0.308, 0.663)
O (0.794, 0.203, 0.518)
O (0.797, 0.206, 0.982)
O (0.834, 0.631, 0.577)
O (0.834, 0.705, 0.357)
O (0.851, 0.278, 0.867)
O (0.888, 0.493, 0.832)
O (0.898, 0.629, 0.729)
O (0.907, 0.440, 0.374)
O (0.923, 0.476, 0.135)
O (0.929, 0.054, 0.375)
O (0.946, 0.071, 0.125)

Calculated values
* energy with MP2020 corrections: -196.99 eV per formula unit
* energy of formation: -3196.2 meV/atom
* calculated volume: 15.8 Å³ per atom
* total moment: 0.20 μB/f.u.



7.
This record from Materials Project describes a geometry-optimized K2USi6O15 structure. The functional is GGA-PBE.

Cell lengths 7.303, 12.224, 17.419 Å; angles 99.70, 90.96, 106.13 degrees
Atoms (fractional coordinates):
K (0.106, 0.240, 0.260)
K (0.116, 0.205, 0.750)
K (0.144, 0.324, 0.962)
K (0.201, 0.376, 0.481)
K (0.799, 0.624, 0.519)
K (0.856, 0.676, 0.038)
K (0.884, 0.795, 0.250)
K (0.894, 0.760, 0.740)
U (0.377, 0.738, 0.610)
U (0.392, 0.774, 0.136)
U (0.608, 0.226, 0.864)
U (0.623, 0.262, 0.390)
Si (0.052, 0.490, 0.668)
Si (0.052, 0.520, 0.165)
Si (0.186, 0.029, 0.400)
Si (0.193, 0.010, 0.105)
Si (0.195, 0.940, 0.564)
Si (0.234, 0.022, 0.922)
Si (0.309, 0.641, 0.932)
Si (0.339, 0.666, 0.404)
Si (0.423, 0.839, 0.828)
Si (0.431, 0.489, 0.135)
Si (0.443, 0.896, 0.341)
Si (0.469, 0.507, 0.693)
Si (0.531, 0.493, 0.307)
Si (0.557, 0.104, 0.659)
Si (0.569, 0.511, 0.865)
Si (0.577, 0.161, 0.172)
Si (0.661, 0.334, 0.596)
Si (0.691, 0.359, 0.068)
Si (0.766, 0.978, 0.078)
Si (0.805, 0.060, 0.436)
Si (0.807, 0.990, 0.895)
Si (0.814, 0.971, 0.600)
Si (0.948, 0.480, 0.835)
Si (0.948, 0.510, 0.332)
O (0.015, 0.962, 0.882)
O (0.021, 0.466, 0.246)
O (0.045, 0.993, 0.620)
O (0.102, 0.595, 0.620)
O (0.107, 0.624, 0.381)
O (0.128, 0.659, 0.181)
O (0.142, 0.801, 0.552)
O (0.147, 0.521, 0.890)
O (0.197, 0.455, 0.116)
O (0.199, 0.892, 0.134)
O (0.213, 0.999, 0.487)
O (0.237, 0.003, 0.013)
O (0.237, 0.441, 0.683)
O (0.239, 0.928, 0.335)
O (0.255, 0.688, 0.018)
O (0.309, 0.158, 0.392)
O (0.317, 0.156, 0.915)
O (0.325, 0.734, 0.874)
O (0.341, 0.128, 0.159)
O (0.351, 0.804, 0.736)
O (0.370, 0.955, 0.872)
O (0.390, 0.641, 0.488)
O (0.404, 0.983, 0.614)
O (0.423, 0.804, 0.401)
O (0.433, 0.597, 0.334)
O (0.466, 0.441, 0.215)
O (0.471, 0.375, 0.860)
O (0.471, 0.389, 0.356)
O (0.489, 0.151, 0.742)
O (0.495, 0.401, 0.064)
O (0.505, 0.599, 0.936)
O (0.511, 0.849, 0.258)
O (0.529, 0.611, 0.644)
O (0.529, 0.625, 0.140)
O (0.534, 0.559, 0.785)
O (0.567, 0.403, 0.666)
O (0.577, 0.196, 0.599)
O (0.596, 0.017, 0.386)
O (0.610, 0.359, 0.512)
O (0.630, 0.045, 0.128)
O (0.649, 0.196, 0.264)
O (0.659, 0.872, 0.841)
O (0.675, 0.266, 0.126)
O (0.683, 0.844, 0.085)
O (0.691, 0.842, 0.608)
O (0.745, 0.312, 0.982)
O (0.761, 0.072, 0.665)
O (0.763, 0.559, 0.317)
O (0.763, 0.997, 0.987)
O (0.787, 0.001, 0.513)
O (0.801, 0.108, 0.866)
O (0.803, 0.545, 0.884)
O (0.853, 0.479, 0.110)
O (0.858, 0.199, 0.448)
O (0.872, 0.341, 0.819)
O (0.893, 0.376, 0.619)
O (0.898, 0.405, 0.380)
O (0.955, 0.007, 0.380)
O (0.979, 0.534, 0.754)
O (0.985, 0.038, 0.118)

Calculated values
* energy with MP2020 corrections: -196.99 eV per formula unit
* energy of formation: -3195.9 meV/atom
* calculated volume: 15.3 Å³ per atom
* total moment: 1.54 μB/f.u.